[1]
A relaxed Tm3Cu4Sn4 crystal, computed with PBE-GGA.

Results
V = 234 Å³ per cell
total moment = 0.002 μB/atom
relative energy among the computed polymorphs = 143 meV/atom
ΔH_f (0 K) = -0.330 eV per atom

extended XYZ file:
```
11
Lattice="-3.802 -4.024 -6.008 -1.024 -1.624 -7.941 3.467 -6.836 -3.505" Properties=species:S:1:pos:R:3 pbc="T T T"
Tm -3.596 -5.857 -12.439
Tm 2.236 -6.627 -5.015
Tm -0.680 -6.242 -8.727
Cu -1.414 -7.645 -11.524
Cu 1.724 -8.086 -7.563
Cu -3.083 -4.399 -9.892
Cu 0.054 -4.839 -5.931
Sn -1.642 -9.276 -13.877
Sn -1.871 -3.927 -7.565
Sn 0.282 -3.208 -3.577
Sn 0.512 -8.558 -9.890
```

=====

[2]
A relaxed Tm3Cu4Sn4 crystal, computed with PBE-GGA.

Results
V = 224 Å³ per cell
relative energy among the computed polymorphs = 2 meV/atom
ΔH_f (0 K) = -0.471 eV per atom

extended XYZ file:
```
11
Lattice="-2.225 3.464 7.252 2.225 -3.464 7.252 2.225 3.464 -7.252" Properties=species:S:1:pos:R:3 pbc="T T T"
Sn 0.000 0.000 3.143
Sn 0.000 1.418 7.252
Sn 0.000 0.000 11.361
Sn 2.225 2.046 0.000
Cu 0.000 2.163 9.768
Cu 2.225 1.301 -2.516
Cu 2.225 1.301 2.516
Cu 0.000 2.163 4.736
Tm 0.000 3.464 1.873
Tm 2.225 0.000 5.379
Tm 0.000 0.000 0.000
```

=====

[3]
A relaxed Tm3Cu4Sn4 crystal, computed with PBE-GGA.

Results
V = 224 Å³ per cell
relative energy among the computed polymorphs = 0 meV/atom
ΔH_f (0 K) = -0.473 eV per atom

extended XYZ file:
```
11
Lattice="-4.391 0.197 0.574 0.769 5.623 3.947 1.237 1.401 -8.132" Properties=species:S:1:pos:R:3 pbc="T T T"
Cu -2.137 3.251 -0.347
Cu -0.249 3.970 -3.264
Cu -0.514 1.637 -4.492
Cu -1.872 5.583 0.881
Tm 0.384 2.811 1.974
Tm -0.141 1.192 -1.485
Tm -2.245 6.028 -2.126
Sn -2.510 2.643 -2.986
Sn -0.792 2.560 -6.933
Sn 0.124 4.577 -0.624
Sn -1.594 4.660 3.322
```

=====

[4]
A relaxed TmCu5Sn crystal, computed with PBE-GGA.

Results
V = 434 Å³ per cell
ΔH_f (0 K) = -0.249 eV per atom

extended XYZ file:
```
28
Lattice="4.992 0.000 0.000 0.000 8.206 0.000 0.000 0.000 10.585" Properties=species:S:1:pos:R:3 pbc="T T T"
Sn 3.744 2.953 6.760
Sn 3.744 7.056 9.117
Sn 1.248 5.252 3.825
Sn 1.248 1.150 1.468
Cu 1.248 7.486 5.479
Cu 3.744 3.624 4.214
Cu 4.983 0.535 7.270
Cu 1.248 2.574 7.989
Cu 2.504 4.638 8.607
Cu 1.248 0.479 9.506
Cu 2.488 3.568 1.978
Cu 2.488 7.671 3.314
Cu 3.744 7.727 1.079
Cu 1.248 4.582 6.371
Cu 4.983 4.638 8.607
Cu 3.744 4.823 0.187
Cu 0.008 3.568 1.978
Cu 1.248 6.677 7.888
Cu 1.248 3.383 10.398
Cu 3.744 5.632 2.595
Cu 3.744 0.720 5.106
Cu 0.008 7.671 3.314
Cu 2.504 0.535 7.270
Cu 3.744 1.529 2.697
Tm 1.248 6.171 0.672
Tm 1.248 2.068 4.621
Tm 3.744 6.138 5.964
Tm 3.744 2.035 9.913
```

=====

[5]
A relaxed UCu2Sn crystal, computed with PBE-GGA.

Results
V = 152 Å³ per cell
total moment = 0.629 μB/atom
ΔH_f (0 K) = 0.193 eV per atom

extended XYZ file:
```
8
Lattice="2.352 -4.074 0.000 2.352 4.074 0.000 0.000 0.000 7.929" Properties=species:S:1:pos:R:3 pbc="T T T"
Cu 2.352 -1.358 3.147
Cu 2.352 -1.358 0.818
Cu 2.352 1.358 4.782
Cu 2.352 1.358 7.111
Sn 2.352 -1.358 5.947
Sn 2.352 1.358 1.982
U 0.000 0.000 0.000
U 0.000 0.000 3.965
```

=====

[6]
A relaxed U3Cu3Sn4 crystal, computed with PBE-GGA.

Results
V = 435 Å³ per cell
total moment = 0.609 μB/atom
ΔH_f (0 K) = -0.031 eV per atom

extended XYZ file:
```
20
Lattice="5.438 -6.025 -1.566 -1.449 0.360 8.130 -7.068 -1.561 -3.992" Properties=species:S:1:pos:R:3 pbc="T T T"
Sn -2.567 -6.026 2.145
Sn -1.028 -2.413 0.859
Sn -4.499 -0.541 3.420
Sn -3.775 -0.721 -0.645
Sn 1.544 -3.272 -1.446
Sn 2.898 -3.834 3.022
Sn -1.989 -4.053 -3.442
Sn 0.179 -0.821 3.805
Cu 1.927 -4.399 5.440
Cu -2.740 -3.145 -1.050
Cu -6.591 -1.850 2.409
Cu -0.724 -6.398 -3.348
Cu 1.088 -4.021 1.072
Cu -2.197 -1.867 3.193
U -2.355 -0.829 5.920
U -5.006 -2.828 -2.868
U -0.338 -4.082 3.622
U -0.882 -5.360 -0.620
U 3.512 -5.377 0.164
U -4.167 -3.206 1.500
```